#i
Li2FeSiO4: optimized geometry, PBE+U.

Calculated values
- spin magnetization (μB/f.u.) = 0.00
- SG = No. 62

Lattice parameters (Å, degrees): 10.7714 6.3616 5.1197 90.00 90.00 90.00
Closest atoms and distances in Å follow each position.
Sites, in units of the cell vectors:
Li 0.1688 0.0057 0.2075  4 O 1.96-2.06
Li 0.1688 0.4943 0.2075  4 O 1.96-2.06
Li 0.3312 0.5057 0.7075  4 O 1.96-2.06
Li 0.3312 0.9943 0.7075  4 O 1.96-2.06
Li 0.6688 0.0057 0.2925  4 O 1.96-2.06
Li 0.6688 0.4943 0.2925  4 O 1.96-2.06
Li 0.8312 0.5057 0.7925  4 O 1.96-2.06
Li 0.8312 0.9943 0.7925  4 O 1.96-2.06
Fe 0.0806 0.7500 0.7994  4 O 2.01-2.13
Fe 0.4194 0.2500 0.2994  4 O 2.01-2.13
Fe 0.5806 0.7500 0.7006  4 O 2.01-2.13
Fe 0.9194 0.2500 0.2006  4 O 2.01-2.13
Si 0.0845 0.2500 0.6956  4 O 1.65-1.66
Si 0.4155 0.7500 0.1956  4 O 1.65-1.66
Si 0.5845 0.2500 0.8044  4 O 1.65-1.66
Si 0.9155 0.7500 0.3044  4 O 1.65-1.66
O 0.0626 0.7500 0.2142  1 Si 1.65
O 0.0909 0.2500 0.3724  1 Si 1.66
O 0.1570 0.0388 0.8072  1 Si 1.66
O 0.1570 0.4612 0.8072  1 Si 1.66
O 0.3430 0.5388 0.3072  1 Si 1.66
O 0.3430 0.9612 0.3072  1 Si 1.66
O 0.4091 0.7500 0.8724  1 Si 1.66
O 0.4374 0.2500 0.7142  1 Si 1.65
O 0.5626 0.7500 0.2858  1 Si 1.65
O 0.5909 0.2500 0.1276  1 Si 1.66
O 0.6570 0.0388 0.6928  1 Si 1.66
O 0.6570 0.4612 0.6928  1 Si 1.66
O 0.8430 0.5388 0.1928  1 Si 1.66
O 0.8430 0.9612 0.1928  1 Si 1.66
O 0.9091 0.7500 0.6276  1 Si 1.66
O 0.9374 0.2500 0.7858  1 Si 1.65

#ii
Li2FeSiO4: optimized geometry, PBE+U.

Calculated values
- spin magnetization (μB/f.u.) = 4.00
- SG = No. 14

Lattice parameters (Å, degrees): 6.3757 5.1171 10.9016 90.00 91.66 90.00
Closest atoms and distances in Å follow each position.
Sites, in units of the cell vectors:
Li 0.0046 0.2001 0.1696  4 O 1.95-2.02
Li 0.0046 0.2999 0.6696  4 O 1.95-2.02
Li 0.2161 0.1980 0.9288  3 O 1.94-2.02
Li 0.2161 0.3020 0.4288  3 O 1.94-2.02
Li 0.7839 0.6980 0.5712  3 O 1.94-2.02
Li 0.7839 0.8020 0.0712  3 O 1.94-2.02
Li 0.9954 0.7001 0.3304  4 O 1.95-2.02
Li 0.9954 0.7999 0.8304  4 O 1.95-2.02
Fe 0.4942 0.7066 0.3429  4 O 1.97-2.14
Fe 0.4942 0.7934 0.8429  4 O 1.97-2.14
Fe 0.5058 0.2066 0.1571  4 O 1.97-2.14
Fe 0.5058 0.2934 0.6571  4 O 1.97-2.14
Si 0.2459 0.6986 0.0897  4 O 1.62-1.69
Si 0.2459 0.8014 0.5897  4 O 1.62-1.69
Si 0.7541 0.1986 0.4103  4 O 1.62-1.69
Si 0.7541 0.3014 0.9103  4 O 1.62-1.69
O 0.0487 0.6860 0.6634  1 Si 1.62
O 0.0487 0.8140 0.1634  1 Si 1.62
O 0.2422 0.1253 0.5891  1 Si 1.66
O 0.2422 0.3747 0.0891  1 Si 1.66
O 0.2463 0.6926 0.4471  1 Si 1.65
O 0.2463 0.8074 0.9471  1 Si 1.65
O 0.4759 0.7103 0.6581  1 Si 1.69
O 0.4759 0.7897 0.1581  1 Si 1.69
O 0.5241 0.2103 0.8419  1 Si 1.69
O 0.5241 0.2897 0.3419  1 Si 1.69
O 0.7537 0.1926 0.0529  1 Si 1.65
O 0.7537 0.3074 0.5529  1 Si 1.65
O 0.7578 0.6253 0.9109  1 Si 1.66
O 0.7578 0.8747 0.4109  1 Si 1.66
O 0.9513 0.1860 0.8366  1 Si 1.62
O 0.9513 0.3140 0.3366  1 Si 1.62

Quick one: least stable of them? #ii

#i
Li2FeSiO4: optimized geometry, PBE+U.

Calculated values
- spin magnetization (μB/f.u.) = 4.00
- SG = No. 33

Lattice parameters (Å, degrees): 10.9678 6.2876 5.0769 90.00 90.00 90.00
Closest atoms and distances in Å follow each position.
Sites, in units of the cell vectors:
Li 0.0893 0.2460 0.0000  4 O 1.95-2.07
Li 0.1727 0.5008 0.4999  4 O 1.96-2.04
Li 0.3273 0.0008 0.9999  4 O 1.96-2.04
Li 0.4107 0.7460 0.5000  4 O 1.95-2.07
Li 0.5893 0.2540 0.0000  4 O 1.95-2.07
Li 0.6727 0.9992 0.4999  4 O 1.96-2.04
Li 0.8273 0.4992 0.9999  4 O 1.96-2.04
Li 0.9107 0.7540 0.5000  4 O 1.95-2.07
Fe 0.0833 0.7499 0.9992  4 O 2.02-2.07
Fe 0.4167 0.2499 0.4992  4 O 2.02-2.07
Fe 0.5833 0.7501 0.9992  4 O 2.02-2.07
Fe 0.9167 0.2501 0.4992  4 O 2.02-2.07
Si 0.1657 0.9996 0.5059  4 O 1.64-1.67
Si 0.3343 0.4996 0.0059  4 O 1.64-1.67
Si 0.6657 0.5004 0.5059  4 O 1.64-1.67
Si 0.8343 0.0004 0.0059  4 O 1.64-1.67
O 0.0932 0.7809 0.4054  1 Si 1.67
O 0.0944 0.2174 0.3996  1 Si 1.67
O 0.1670 0.0025 0.8296  1 Si 1.64
O 0.1913 0.5017 0.8977  1 Si 1.66
O 0.3087 0.0017 0.3977  1 Si 1.66
O 0.3330 0.5025 0.3296  1 Si 1.64
O 0.4056 0.7174 0.8996  1 Si 1.67
O 0.4068 0.2809 0.9054  1 Si 1.67
O 0.5932 0.7191 0.4054  1 Si 1.67
O 0.5944 0.2826 0.3996  1 Si 1.67
O 0.6670 0.4975 0.8296  1 Si 1.64
O 0.6913 0.9983 0.8977  1 Si 1.66
O 0.8087 0.4983 0.3977  1 Si 1.66
O 0.8330 0.9975 0.3296  1 Si 1.64
O 0.9056 0.7826 0.8996  1 Si 1.67
O 0.9068 0.2191 0.9054  1 Si 1.67

#ii
Li2FeSiO4: optimized geometry, PBE+U.

Calculated values
- spin magnetization (μB/f.u.) = 4.00
- SG = No. 33

Lattice parameters (Å, degrees): 11.0051 5.1833 6.3109 90.00 90.00 90.00
Closest atoms and distances in Å follow each position.
Sites, in units of the cell vectors:
Li 0.0858 0.1975 0.0000  3 O 1.95-1.99
Li 0.1747 0.8111 0.7531  4 O 1.96-2.07
Li 0.3253 0.3111 0.2531  4 O 1.96-2.07
Li 0.4142 0.6975 0.5000  3 O 1.95-1.99
Li 0.5858 0.3025 0.0000  3 O 1.95-1.99
Li 0.6747 0.6889 0.7531  4 O 1.96-2.07
Li 0.8253 0.1889 0.2531  4 O 1.96-2.07
Li 0.9142 0.8025 0.5000  3 O 1.95-1.99
Fe 0.0857 0.3177 0.5183  4 O 2.00-2.07
Fe 0.4143 0.8177 0.0183  4 O 2.00-2.07
Fe 0.5857 0.1823 0.5183  4 O 2.00-2.07
Fe 0.9143 0.6823 0.0183  4 O 2.00-2.07
Si 0.1631 0.8219 0.2610  4 O 1.65-1.66
Si 0.3369 0.3219 0.7610  4 O 1.65-1.66
Si 0.6631 0.6781 0.2610  4 O 1.65-1.66
Si 0.8369 0.1781 0.7610  4 O 1.65-1.66
O 0.0891 0.7139 0.4731  1 Si 1.66
O 0.0919 0.7565 0.0360  1 Si 1.66
O 0.1667 0.1406 0.2703  1 Si 1.65
O 0.1972 0.2035 0.7576  1 Si 1.66
O 0.3028 0.7035 0.2576  1 Si 1.66
O 0.3333 0.6406 0.7703  1 Si 1.65
O 0.4081 0.2565 0.5360  1 Si 1.66
O 0.4109 0.2139 0.9731  1 Si 1.66
O 0.5891 0.7861 0.4731  1 Si 1.66
O 0.5919 0.7435 0.0360  1 Si 1.66
O 0.6667 0.3594 0.2703  1 Si 1.65
O 0.6972 0.2965 0.7576  1 Si 1.66
O 0.8028 0.7965 0.2576  1 Si 1.66
O 0.8333 0.8594 0.7703  1 Si 1.65
O 0.9081 0.2435 0.5360  1 Si 1.66
O 0.9109 0.2861 0.9731  1 Si 1.66

Quick one: least stable of them? #ii

#i
Li3FeSi2O7: optimized geometry, PBE+U.

Calculated values
- spin magnetization (μB/f.u.) = 5.00
- SG = No. 62

Lattice parameters (Å, degrees): 8.9642 12.4881 5.0270 90.00 90.00 90.00
Closest atoms and distances in Å follow each position.
Sites, in units of the cell vectors:
Li 0.0151 0.2500 0.0310  5 O 2.06-2.29
Li 0.1620 0.5910 0.5338  3 O 1.98-2.06
Li 0.1620 0.9090 0.5338  3 O 1.98-2.06
Li 0.3380 0.0910 0.0338  3 O 1.98-2.06
Li 0.3380 0.4090 0.0338  3 O 1.98-2.06
Li 0.4849 0.7500 0.5310  5 O 2.06-2.29
Li 0.5151 0.2500 0.4690  5 O 2.06-2.29
Li 0.6620 0.5910 0.9662  3 O 1.98-2.06
Li 0.6620 0.9090 0.9662  3 O 1.98-2.06
Li 0.8380 0.0910 0.4662  3 O 1.98-2.06
Li 0.8380 0.4090 0.4662  3 O 1.98-2.06
Li 0.9849 0.7500 0.9690  5 O 2.06-2.29
Fe 0.0000 0.0000 0.0000  6 O 1.96-2.15
Fe 0.0000 0.5000 0.0000  6 O 1.96-2.15
Fe 0.5000 0.0000 0.5000  6 O 1.96-2.15
Fe 0.5000 0.5000 0.5000  6 O 1.96-2.15
Si 0.1821 0.1313 0.5087  4 O 1.63-1.69
Si 0.1821 0.3687 0.5087  4 O 1.63-1.69
Si 0.3179 0.6313 0.0087  4 O 1.63-1.69
Si 0.3179 0.8687 0.0087  4 O 1.63-1.69
Si 0.6821 0.1313 0.9913  4 O 1.63-1.69
Si 0.6821 0.3687 0.9913  4 O 1.63-1.69
Si 0.8179 0.6313 0.4913  4 O 1.63-1.69
Si 0.8179 0.8687 0.4913  4 O 1.63-1.69
O 0.1006 0.0382 0.3335  1 Si 1.63
O 0.1006 0.4618 0.3335  1 Si 1.63
O 0.1121 0.2500 0.4098  2 Si 1.69
O 0.1400 0.6287 0.9307  1 Si 1.64
O 0.1400 0.8713 0.9307  1 Si 1.64
O 0.1474 0.1164 0.8262  1 Si 1.64
O 0.1474 0.3836 0.8262  1 Si 1.64
O 0.3526 0.6164 0.3262  1 Si 1.64
O 0.3526 0.8836 0.3262  1 Si 1.64
O 0.3600 0.1287 0.4307  1 Si 1.64
O 0.3600 0.3713 0.4307  1 Si 1.64
O 0.3879 0.7500 0.9098  2 Si 1.69
O 0.3994 0.5382 0.8335  1 Si 1.63
O 0.3994 0.9618 0.8335  1 Si 1.63
O 0.6006 0.0382 0.1665  1 Si 1.63
O 0.6006 0.4618 0.1665  1 Si 1.63
O 0.6121 0.2500 0.0902  2 Si 1.69
O 0.6400 0.6287 0.5693  1 Si 1.64
O 0.6400 0.8713 0.5693  1 Si 1.64
O 0.6474 0.1164 0.6738  1 Si 1.64
O 0.6474 0.3836 0.6738  1 Si 1.64
O 0.8526 0.6164 0.1738  1 Si 1.64
O 0.8526 0.8836 0.1738  1 Si 1.64
O 0.8600 0.1287 0.0693  1 Si 1.64
O 0.8600 0.3713 0.0693  1 Si 1.64
O 0.8879 0.7500 0.5902  2 Si 1.69
O 0.8994 0.5382 0.6665  1 Si 1.63
O 0.8994 0.9618 0.6665  1 Si 1.63

#ii
Li3FeSi2O7: optimized geometry, PBE+U.

Calculated values
- spin magnetization (μB/f.u.) = 5.00
- SG = No. 173

Lattice parameters (Å, degrees): 8.6207 8.6207 13.0453 90.00 90.00 120.00
Closest atoms and distances in Å follow each position.
Sites, in units of the cell vectors:
Li 0.0000 0.0000 0.0000  3 O 2.19
Li 0.0000 0.0000 0.5000  3 O 2.19
Li 0.0240 0.6915 0.1052  3 O 1.92-2.04
Li 0.0248 0.6907 0.4362  3 O 1.92-2.04
Li 0.3085 0.3325 0.1052  3 O 1.92-2.04
Li 0.3093 0.3340 0.4362  3 O 1.92-2.04
Li 0.3325 0.0240 0.6052  3 O 1.92-2.04
Li 0.3333 0.6667 0.2716  6 O 2.31
Li 0.3333 0.6667 0.7568  3 O 1.90
Li 0.3340 0.0248 0.9362  3 O 1.92-2.04
Li 0.6660 0.9752 0.4362  3 O 1.92-2.04
Li 0.6667 0.3333 0.2568  3 O 1.90
Li 0.6667 0.3333 0.7716  6 O 2.31
Li 0.6675 0.9760 0.1052  3 O 1.92-2.04
Li 0.6907 0.6660 0.9362  3 O 1.92-2.04
Li 0.6915 0.6675 0.6052  3 O 1.92-2.04
Li 0.9752 0.3093 0.9362  3 O 1.92-2.04
Li 0.9760 0.3085 0.6052  3 O 1.92-2.04
Fe 0.0000 0.0000 0.2686  6 O 2.06-2.12
Fe 0.0000 0.0000 0.7686  6 O 2.06-2.12
Fe 0.3333 0.6667 0.0475  6 O 2.05
Fe 0.3333 0.6667 0.4948  6 O 2.04-2.06
Fe 0.6667 0.3333 0.5475  6 O 2.05
Fe 0.6667 0.3333 0.9948  6 O 2.04-2.06
Si 0.0242 0.6736 0.6593  4 O 1.63-1.68
Si 0.0264 0.6747 0.8840  4 O 1.63-1.68
Si 0.3253 0.3516 0.8840  4 O 1.63-1.68
Si 0.3264 0.3506 0.6593  4 O 1.63-1.68
Si 0.3506 0.0242 0.1593  4 O 1.63-1.68
Si 0.3516 0.0264 0.3840  4 O 1.63-1.68
Si 0.6484 0.9736 0.8840  4 O 1.63-1.68
Si 0.6494 0.9758 0.6593  4 O 1.63-1.68
Si 0.6736 0.6494 0.1593  4 O 1.63-1.68
Si 0.6747 0.6484 0.3840  4 O 1.63-1.68
Si 0.9736 0.3253 0.3840  4 O 1.63-1.68
Si 0.9758 0.3264 0.1593  4 O 1.63-1.68
O 0.0702 0.2030 0.3802  1 Si 1.64
O 0.0736 0.2062 0.1656  1 Si 1.63
O 0.1187 0.5380 0.3986  1 Si 1.63
O 0.1189 0.5394 0.1443  1 Si 1.63
O 0.1301 0.6962 0.7715  2 Si 1.68
O 0.1326 0.9264 0.1656  1 Si 1.63
O 0.1328 0.9298 0.3802  1 Si 1.64
O 0.1879 0.7567 0.5746  1 Si 1.65
O 0.1884 0.7583 0.9696  1 Si 1.65
O 0.2030 0.1328 0.8802  1 Si 1.64
O 0.2062 0.1326 0.6656  1 Si 1.63
O 0.2417 0.4300 0.9696  1 Si 1.65
O 0.2433 0.4312 0.5746  1 Si 1.65
O 0.3038 0.4340 0.7715  2 Si 1.68
O 0.4192 0.8813 0.3986  1 Si 1.63
O 0.4204 0.8811 0.1443  1 Si 1.63
O 0.4300 0.1884 0.4696  1 Si 1.65
O 0.4312 0.1879 0.0746  1 Si 1.65
O 0.4340 0.1301 0.2715  2 Si 1.68
O 0.4606 0.5796 0.1443  1 Si 1.63
O 0.4620 0.5808 0.3986  1 Si 1.63
O 0.5380 0.4192 0.8986  1 Si 1.63
O 0.5394 0.4204 0.6443  1 Si 1.63
O 0.5660 0.8699 0.7715  2 Si 1.68
O 0.5688 0.8121 0.5746  1 Si 1.65
O 0.5700 0.8116 0.9696  1 Si 1.65
O 0.5796 0.1189 0.6443  1 Si 1.63
O 0.5808 0.1187 0.8986  1 Si 1.63
O 0.6962 0.5660 0.2715  2 Si 1.68
O 0.7567 0.5688 0.0746  1 Si 1.65
O 0.7583 0.5700 0.4696  1 Si 1.65
O 0.7938 0.8674 0.1656  1 Si 1.63
O 0.7970 0.8672 0.3802  1 Si 1.64
O 0.8116 0.2417 0.4696  1 Si 1.65
O 0.8121 0.2433 0.0746  1 Si 1.65
O 0.8672 0.0702 0.8802  1 Si 1.64
O 0.8674 0.0736 0.6656  1 Si 1.63
O 0.8699 0.3038 0.2715  2 Si 1.68
O 0.8811 0.4606 0.6443  1 Si 1.63
O 0.8813 0.4620 0.8986  1 Si 1.63
O 0.9264 0.7938 0.6656  1 Si 1.63
O 0.9298 0.7970 0.8802  1 Si 1.64

Quick one: least stable of them? #i

#i
Li2Fe2Si2O7: optimized geometry, PBE+U.

Calculated values
- spin magnetization (μB/f.u.) = 0.00

Lattice parameters (Å, degrees): 5.3674 8.1567 9.2954 88.67 89.97 91.20
Closest atoms and distances in Å follow each position.
Sites, in units of the cell vectors:
Li 0.4958 0.2281 0.1688  3 O 1.89-1.90
Li 0.9958 0.2281 0.6688  3 O 1.90
Li 0.0040 0.7718 0.3311  3 O 1.90
Li 0.5040 0.7718 0.8311  3 O 1.89-1.90
Fe 0.0033 0.7725 0.6648  3 O 1.93
Fe 0.9964 0.2271 0.3354  3 O 1.93
Fe 0.5033 0.7724 0.1645  3 O 1.93
Fe 0.4967 0.2271 0.8355  3 O 1.93
Si 0.9981 0.2991 0.0011  4 O 1.64-1.65
Si 0.4979 0.2992 0.5010  4 O 1.64-1.65
Si 0.5021 0.7009 0.4989  4 O 1.64-1.65
Si 0.0020 0.7008 0.9989  4 O 1.64-1.65
O 0.0006 0.5000 0.0000  2 Si 1.64
O 0.5006 0.5000 0.5001  2 Si 1.64
O 0.8608 0.7615 0.1447  1 Si 1.64
O 0.3608 0.7615 0.6447  1 Si 1.64
O 0.7938 0.7668 0.4959  1 Si 1.65
O 0.2937 0.7669 0.9958  1 Si 1.65
O 0.1454 0.2342 0.1460  1 Si 1.64
O 0.6452 0.2341 0.6459  1 Si 1.65
O 0.3548 0.7656 0.3539  1 Si 1.64
O 0.8545 0.7657 0.8541  1 Si 1.64
O 0.7061 0.2337 0.0041  1 Si 1.65
O 0.2058 0.2338 0.5041  1 Si 1.65
O 0.6392 0.2385 0.3552  1 Si 1.64
O 0.1394 0.2386 0.8552  1 Si 1.64

#ii
Li2Fe2Si2O7: optimized geometry, PBE+U.

Calculated values
- maximum piezoelectric response (C/m²) = 0.64
- spin magnetization (μB/f.u.) = 0.00
- SG = No. 9

Lattice parameters (Å, degrees): 4.9370 4.9370 13.3407 90.06 90.06 118.17
Closest atoms and distances in Å follow each position.
Sites, in units of the cell vectors:
Li 0.1992 0.8002 0.8355  4 O 1.95-2.08
Li 0.1996 0.8004 0.5000  4 O 1.95-2.08
Li 0.8002 0.1992 0.3355  4 O 1.95-2.08
Li 0.8004 0.1996 0.0000  4 O 1.95-2.08
Fe 0.5153 0.5154 0.4178  6 O 2.11-2.32
Fe 0.5154 0.5153 0.9178  6 O 2.11-2.32
Fe 0.5274 0.5350 0.1678  5 O 2.09-2.25
Fe 0.5350 0.5274 0.6678  5 O 2.09-2.25
Si 0.1488 0.8522 0.2802  4 O 1.62-1.70
Si 0.1495 0.8532 0.0554  4 O 1.62-1.70
Si 0.8522 0.1488 0.7802  4 O 1.62-1.70
Si 0.8532 0.1495 0.5554  4 O 1.62-1.70
O 0.1771 0.6253 0.3626  1 Si 1.62
O 0.1766 0.7046 0.1677  2 Si 1.70
O 0.1783 0.6264 0.9728  1 Si 1.62
O 0.2098 0.4190 0.7834  1 Si 1.64
O 0.2111 0.4206 0.5529  1 Si 1.64
O 0.4190 0.2098 0.2834  1 Si 1.64
O 0.4206 0.2111 0.0529  1 Si 1.64
O 0.6253 0.1771 0.8626  1 Si 1.62
O 0.6264 0.1783 0.4728  1 Si 1.62
O 0.7046 0.1766 0.6677  2 Si 1.70
O 0.8053 0.8275 0.2875  1 Si 1.65
O 0.8059 0.8285 0.0475  1 Si 1.65
O 0.8275 0.8053 0.7875  1 Si 1.65
O 0.8285 0.8059 0.5475  1 Si 1.65

Quick one: least stable of them? #i